(1)
Here is a relaxed La3In crystal from Materials Project. Energies are from PBE.

```
La3In
1.0
5.077 0.000 0.000
0.000 5.077 0.000
0.000 0.000 5.077
La In
3 1
direct
0.000 0.000 0.500
0.000 0.500 0.000
0.500 0.000 0.000
0.500 0.500 0.500
```

Values from the calculation:
* E_tot: -0.3443 Ry/atom
* crystal system: cubic



(2)
Here is a relaxed Na5Y2SiSn2P5O24 crystal from Materials Project. Energies are from PBE.

```
Na5Y2SiSn2P5O24
1.0
9.126 0.000 0.000
4.562 7.947 0.000
0.064 0.024 23.175
Na Y Si Sn P O
15 6 3 6 15 72
direct
0.000 0.000 0.000
0.000 0.370 0.500
0.306 0.041 0.918
0.307 0.668 0.167
0.312 0.009 0.414
0.340 0.696 0.832
0.607 0.058 0.829
0.642 0.986 0.500
0.649 0.354 0.256
0.651 0.344 0.747
0.670 0.669 0.663
0.672 0.032 0.168
0.944 0.380 0.170
0.975 0.686 0.080
0.986 0.698 0.585
0.302 0.039 0.762
0.303 0.030 0.273
0.639 0.363 0.097
0.646 0.363 0.901
0.973 0.685 0.936
0.979 0.696 0.436
0.013 0.022 0.167
0.612 0.030 0.666
0.630 0.654 0.502
0.311 0.020 0.567
0.311 0.024 0.068
0.638 0.360 0.601
0.639 0.367 0.398
0.975 0.698 0.238
0.976 0.694 0.729
0.007 0.329 0.662
0.268 0.404 0.830
0.281 0.680 0.333
0.299 0.325 0.167
0.307 0.728 0.666
0.338 0.675 0.001
0.357 0.352 0.502
0.606 0.738 0.168
0.632 0.059 0.001
0.681 0.693 0.828
0.682 0.001 0.336
0.931 0.080 0.501
0.955 0.350 0.005
0.962 0.405 0.335
0.973 0.984 0.832
0.002 0.845 0.174
0.084 0.221 0.715
0.100 0.064 0.218
0.107 0.072 0.508
0.115 0.246 0.606
0.119 0.231 0.330
0.129 0.181 0.007
0.131 0.500 0.174
0.133 0.980 0.107
0.135 0.995 0.826
0.150 0.705 0.670
0.155 0.705 0.998
0.167 0.487 0.884
0.170 0.700 0.384
0.177 0.503 0.497
0.180 0.516 0.775
0.200 0.659 0.274
0.266 0.245 0.112
0.273 0.846 0.613
0.296 0.224 0.827
0.304 0.834 0.329
0.325 0.852 0.004
0.339 0.801 0.721
0.340 0.189 0.507
0.342 0.210 0.219
0.418 0.575 0.057
0.438 0.379 0.556
0.442 0.588 0.947
0.445 0.391 0.833
0.447 0.361 0.159
0.455 0.514 0.336
0.463 0.848 0.506
0.469 0.045 0.007
0.472 0.315 0.448
0.472 0.555 0.658
0.494 0.818 0.219
0.503 0.853 0.825
0.506 0.021 0.330
0.509 0.056 0.725
0.521 0.989 0.610
0.531 0.853 0.113
0.605 0.564 0.445
0.610 0.164 0.946
0.629 0.560 0.160
0.634 0.196 0.658
0.656 0.143 0.055
0.656 0.538 0.833
0.666 0.537 0.561
0.673 0.176 0.339
0.766 0.719 0.881
0.767 0.896 0.390
0.785 0.670 0.772
0.787 0.720 0.174
0.789 0.916 0.278
0.794 0.886 0.998
0.797 0.848 0.669
0.798 0.391 0.336
0.798 0.676 0.499
0.809 0.158 0.834
0.817 0.160 0.555
0.820 0.181 0.161
0.823 0.360 0.657
0.854 0.192 0.447
0.857 0.369 0.061
0.865 0.322 0.953
0.941 0.512 0.277
0.947 0.893 0.779
0.950 0.905 0.497
0.978 0.491 0.389
0.978 0.503 0.000
0.990 0.508 0.668
0.995 0.885 0.889
```

Values from the calculation:
* E_tot: -0.5124 Ry/atom
* crystal system: triclinic



(3)
Here is a relaxed UNi2 crystal from Materials Project. Energies are from PBE.

```
UNi2
1.0
4.929 0.000 0.000
-2.465 4.269 0.000
0.000 0.000 8.235
U Ni
4 8
direct
0.333 0.667 0.056
0.333 0.667 0.444
0.667 0.333 0.556
0.667 0.333 0.944
0.000 0.000 0.000
0.000 0.000 0.500
0.166 0.331 0.750
0.166 0.834 0.750
0.331 0.166 0.250
0.669 0.834 0.750
0.834 0.166 0.250
0.834 0.669 0.250
```

Values from the calculation:
* E_tot: -0.5780 Ry/atom
* crystal system: hexagonal